(1)
Density functional theory data (PBE with a Hubbard U) for a relaxed Li24Ti5Cr7O36 crystal.

## Properties
Magnetic moment = 13.979 μB/f.u.

Lattice parameters (Å, degrees): 5.0487 5.0600 28.9359 89.70 89.72 60.08
Positions (direct):
Li 0.4917 0.1696 0.3333
Li 0.4986 0.1684 0.0834
Li 0.1788 0.4911 0.1665
Li 0.4968 0.8363 0.6667
Li 0.5019 0.8343 0.4166
Li 0.4924 0.8355 0.1668
Li 0.1833 0.1621 0.4999
Li 0.4967 0.5002 0.0002
Li 0.4985 0.4980 0.7500
Li 0.4892 0.5038 0.4999
Li 0.8242 0.8349 0.0003
Li 0.1754 0.8209 0.8332
Li 0.4999 0.1668 0.8333
Li 0.1807 0.8258 0.3331
Li 0.8252 0.5062 0.3334
Li 0.1818 0.4975 0.6668
Li 0.8207 0.1671 0.6667
Li 0.8247 0.1772 0.1667
Li 0.1803 0.1634 0.0002
Li 0.5008 0.4999 0.2500
Li 0.8245 0.8349 0.4999
Li 0.4967 0.1689 0.5833
Li 0.8249 0.5120 0.8336
Li 0.5017 0.8354 0.9168
Ti 0.8314 0.8355 0.2499
Ti 0.8385 0.4964 0.5835
Ti 0.8330 0.1640 0.9164
Ti 0.8322 0.1640 0.4164
Ti 0.1669 0.1696 0.7502
Cr 0.1635 0.1671 0.2499
Cr 0.1621 0.8362 0.5832
Cr 0.8304 0.5054 0.0835
Cr 0.1672 0.5021 0.9172
Cr 0.8328 0.8312 0.7497
Cr 0.1633 0.8334 0.0833
Cr 0.1665 0.5023 0.4168
O 0.4998 0.1445 0.2111
O 0.4938 0.8604 0.2882
O 0.4957 0.8110 0.5454
O 0.1458 0.5248 0.0457
O 0.1459 0.4956 0.2871
O 0.4952 0.5266 0.6214
O 0.8600 0.8027 0.1208
O 0.4923 0.4790 0.8787
O 0.1461 0.1935 0.3794
O 0.1428 0.1694 0.6215
O 0.1380 0.1701 0.1206
O 0.8598 0.4954 0.2123
O 0.5043 0.1858 0.9560
O 0.8600 0.4776 0.4541
O 0.1405 0.8554 0.7127
O 0.1462 0.8599 0.2123
O 0.1486 0.8228 0.9543
O 0.1478 0.8232 0.4539
O 0.8630 0.1578 0.5456
O 0.8654 0.1638 0.0461
O 0.8543 0.1400 0.7873
O 0.8572 0.1428 0.2877
O 0.1442 0.5201 0.5452
O 0.5064 0.8007 0.0454
O 0.1475 0.4961 0.7879
O 0.8529 0.8371 0.8789
O 0.8539 0.8367 0.3785
O 0.8623 0.8128 0.6208
O 0.4928 0.5300 0.1216
O 0.1458 0.1934 0.8795
O 0.4924 0.4792 0.3784
O 0.8527 0.5107 0.7124
O 0.8609 0.4772 0.9542
O 0.5035 0.1857 0.4555
O 0.4969 0.1472 0.7111
O 0.5080 0.8538 0.7881

(2)
Density functional theory data (PBE with a Hubbard U) for a relaxed Li24Ti5Cr7O36 crystal.

## Properties
Magnetic moment = 14.003 μB/f.u.

Lattice parameters (Å, degrees): 5.0522 9.7810 13.4117 80.94 79.18 85.34
Positions (direct):
Li 0.6648 0.0009 0.1672
Li 0.5662 0.0019 0.3858
Li 0.2472 0.7492 0.7508
Li 0.5851 0.7505 0.0829
Li 0.0653 0.4988 0.8881
Li 0.4066 0.5005 0.2212
Li 0.1660 0.5005 0.6675
Li 0.5005 0.5012 0.0003
Li 0.2674 0.5028 0.4442
Li 0.0838 0.2503 0.5835
Li 0.9908 0.9970 0.5000
Li 0.7716 0.9984 0.9489
Li 0.1044 0.9968 0.2819
Li 0.8980 0.9980 0.7192
Li 0.2261 0.0019 0.0509
Li 0.9181 0.7500 0.4175
Li 0.7380 0.4985 0.5558
Li 0.8236 0.4988 0.3343
Li 0.5988 0.5013 0.7772
Li 0.9313 0.4986 0.1123
Li 0.4164 0.2504 0.9155
Li 0.3424 0.0018 0.8328
Li 0.7479 0.2500 0.2501
Li 0.4346 0.0018 0.6126
Ti 0.3561 0.7576 0.5262
Ti 0.9750 0.2473 0.8068
Ti 0.1972 0.2469 0.3617
Ti 0.3001 0.2548 0.1388
Ti 0.0357 0.7449 0.1917
Cr 0.8568 0.2491 0.0268
Cr 0.4788 0.7508 0.3058
Cr 0.6959 0.7471 0.8648
Cr 0.7962 0.7483 0.6419
Cr 0.5264 0.2531 0.6926
Cr 0.6430 0.2490 0.4747
Cr 0.1406 0.7519 0.9680
O 0.9324 0.8617 0.0687
O 0.7183 0.6332 0.2133
O 0.4243 0.3620 0.5760
O 0.5009 0.3619 0.3594
O 0.6151 0.3665 0.1192
O 0.2558 0.8655 0.4053
O 0.2248 0.1344 0.7136
O 0.3353 0.1387 0.4786
O 0.5565 0.1354 0.0467
O 0.0082 0.8624 0.8584
O 0.1150 0.8642 0.6208
O 0.3373 0.8619 0.1905
O 0.4034 0.1363 0.2620
O 0.8255 0.6378 0.9745
O 0.0448 0.6355 0.5510
O 0.1710 0.6383 0.3106
O 0.9016 0.6370 0.7662
O 0.2408 0.6370 0.0925
O 0.7608 0.3613 0.9078
O 0.0946 0.3652 0.2379
O 0.8308 0.3611 0.6893
O 0.9421 0.3654 0.4534
O 0.1631 0.3621 0.0215
O 0.5995 0.8596 0.7368
O 0.6656 0.1375 0.8078
O 0.8833 0.1337 0.3809
O 0.9963 0.1384 0.1416
O 0.4622 0.8651 0.9474
O 0.6646 0.8640 0.5229
O 0.7777 0.8646 0.2851
O 0.7425 0.1390 0.5919
O 0.3709 0.6358 0.8840
O 0.5075 0.6366 0.6447
O 0.5711 0.6385 0.4256
O 0.2821 0.3671 0.7861
O 0.0778 0.1345 0.9275

Short version: (1) is the least stable of them.